[1]
First-principles (PBE) data for a relaxed structure of Rb5Dy3Br12, as listed in the Materials Project.

Cell: 14.3893 14.3893 4.2926 Å, 90.00 90.00 120.00°
Space group P-62m (No. 189)
One atom of each set of equivalent atoms:
Rb: 0.0000 0.7169 0.0000 (multiplicity 3)
Rb: 0.3333 0.6667 0.0000 (multiplicity 2)
Dy: 0.0000 0.3240 0.5000 (multiplicity 3)
Br: 0.0000 0.1868 0.0000 (multiplicity 3)
Br: 0.0000 0.4587 0.0000 (multiplicity 3)
Br: 0.2112 0.7719 0.5000 (multiplicity 6)

Computed properties:
**Total energy**: -3.65 eV/atom

---

[2]
First-principles (PBE) data for a relaxed structure of MnCo4Cu10Sn5S20, as listed in the Materials Project.

Cell: 5.4047 5.4047 54.2010 Å, 90.00 90.00 90.00°
Space group I-4 (No. 82)
One atom of each set of equivalent atoms:
Mn: 0.0000 0.0000 0.0000 (multiplicity 2)
Co: 0.0000 0.0000 0.2000 (multiplicity 4)
Co: 0.0000 0.0000 0.4000 (multiplicity 4)
Cu: 0.0000 0.0000 0.1000 (multiplicity 4)
Cu: 0.0000 0.0000 0.3000 (multiplicity 4)
Cu: 0.0000 0.0000 0.5000 (multiplicity 2)
Cu: 0.0000 0.5000 0.1500 (multiplicity 4)
Cu: 0.0000 0.5000 0.5503 (multiplicity 4)
Cu: 0.0000 0.5000 0.7500 (multiplicity 2)
Sn: 0.0000 0.5000 0.0505 (multiplicity 4)
Sn: 0.0000 0.5000 0.2500 (multiplicity 2)
Sn: 0.0000 0.5000 0.6500 (multiplicity 4)
S: 0.2304 0.2574 0.5244 (multiplicity 8)
S: 0.2323 0.7400 0.1767 (multiplicity 8)
S: 0.2323 0.7401 0.3767 (multiplicity 8)
S: 0.2323 0.7400 0.7767 (multiplicity 8)
S: 0.2333 0.7398 0.5768 (multiplicity 8)

Computed properties:
**M_tot**: 34.010 μB/cell
**Total energy**: -4.87 eV/atom